VASP calculation (GGA-PBE) on a relaxed structure of Si3O7.

Calculated values
Energy relative to the elements = -2.35 eV per atom
Total moment = 2.00 μB/cell
SG = P1 (1)
E above lowest polymorph = 0.0 kJ/mol of formula units

```
Si3O7
1.0
7.4632 -0.3623 -0.9530
-1.7604 6.7090 -1.4791
-0.0853 1.1411 6.8553
O Si
14 6
Direct
0.9819 0.3564 0.6731
0.6685 0.6993 0.8143
0.6877 0.0749 0.9427
0.7479 0.9978 0.5828
0.5389 0.3298 0.1145
0.2766 0.1006 0.8459
0.0957 0.0916 0.4831
0.1162 0.7120 0.8456
0.8284 0.2375 0.3053
0.8773 0.4505 0.0090
0.2076 0.0780 0.1880
0.4120 0.8457 0.6688
0.2232 0.4223 0.0117
0.0678 0.8889 0.5274
0.3129 0.2390 0.0516
0.7306 0.2731 0.0912
0.0491 0.4822 0.8864
0.9042 0.1706 0.5107
0.6353 0.9110 0.7566
0.2232 0.8866 0.7292
```

VASP calculation (GGA-PBE) on a relaxed structure of Pb2ClO2.

Calculated values
Energy relative to the elements = -1.30 eV per atom
Total moment = 0.00 μB/cell
SG = I4/mmm (139)

```
Pb2ClO2
1.0
-0.6757 2.6808 6.4389
-0.6659 6.5784 2.3203
-2.1489 -4.8418 -4.5871
Pb O Cl
2 2 1
Direct
0.1547 0.1547 0.0000
0.8453 0.8453 0.0000
0.7500 0.2500 0.5000
0.2500 0.7500 0.5000
0.5000 0.5000 0.0000
```

Which formula does entry 2 have?
Pb2ClO2